1.
A plane-wave DFT calculation with PBE-GGA was carried out for an optimized crystal structure of Li5P2N5.

Results
As for the space group: Pnma, No. 62.

extended XYZ file:
```
96
Lattice="8.879 0.000 0.000 0.000 8.633 0.000 0.000 0.000 12.433" Properties=species:S:1:pos:R:3 pbc="T T T"
Li 0.000 0.000 0.000
Li 0.000 4.316 0.000
Li 0.066 2.158 5.373
Li 0.102 6.475 4.788
Li 0.314 6.475 2.195
Li 1.545 0.212 7.465
Li 1.545 4.105 7.465
Li 1.575 2.158 8.910
Li 1.637 4.788 4.689
Li 1.637 8.161 4.689
Li 2.154 2.158 3.142
Li 2.286 6.475 9.358
Li 2.803 0.472 10.905
Li 2.803 3.844 10.905
Li 2.865 6.475 2.693
Li 2.894 4.528 1.249
Li 2.894 8.421 1.249
Li 4.126 2.158 8.411
Li 4.338 2.158 11.004
Li 4.374 6.475 11.590
Li 4.440 0.000 6.216
Li 4.440 4.316 6.216
Li 4.505 2.158 0.843
Li 4.542 6.475 1.429
Li 4.754 6.475 4.022
Li 5.985 0.212 11.184
Li 5.985 4.105 11.184
Li 6.014 2.158 9.740
Li 6.076 4.788 1.528
Li 6.076 8.161 1.528
Li 6.593 2.158 3.074
Li 6.726 6.475 9.291
Li 7.242 0.472 7.744
Li 7.242 3.844 7.744
Li 7.305 6.475 3.523
Li 7.334 4.528 4.968
Li 7.334 8.421 4.968
Li 8.565 2.158 10.238
Li 8.777 2.158 7.645
Li 8.813 6.475 7.060
P 0.069 5.037 9.862
P 0.069 7.913 9.862
P 1.417 2.158 0.586
P 1.447 6.475 11.929
P 2.993 2.158 5.712
P 3.022 6.475 6.803
P 4.370 0.720 3.646
P 4.370 3.596 3.646
P 4.509 5.037 8.787
P 4.509 7.913 8.787
P 5.857 2.158 5.630
P 5.887 6.475 6.720
P 7.432 2.158 0.504
P 7.462 6.475 11.847
P 8.810 0.720 2.570
P 8.810 3.596 2.570
N 0.014 2.158 12.105
N 0.080 6.475 8.977
N 0.102 0.592 8.940
N 0.102 3.724 8.940
N 1.295 0.813 1.594
N 1.295 3.503 1.594
N 1.391 5.139 10.907
N 1.391 7.810 10.907
N 1.672 6.475 5.937
N 1.726 2.158 6.701
N 2.714 6.475 0.484
N 2.767 2.158 12.153
N 3.049 0.823 4.690
N 3.049 3.493 4.690
N 3.144 5.129 7.811
N 3.144 7.820 7.811
N 4.337 4.909 2.723
N 4.337 8.041 2.723
N 4.360 2.158 2.760
N 4.426 6.475 5.889
N 4.453 2.158 6.544
N 4.519 6.475 9.673
N 4.542 0.592 9.710
N 4.542 3.724 9.710
N 5.735 0.813 4.622
N 5.735 3.503 4.622
N 5.831 5.139 7.743
N 5.831 7.810 7.743
N 6.112 6.475 0.280
N 6.165 2.158 11.949
N 7.154 6.475 5.732
N 7.207 2.158 6.496
N 7.488 0.823 1.526
N 7.488 3.493 1.526
N 7.584 5.129 10.839
N 7.584 7.820 10.839
N 8.777 4.909 3.493
N 8.777 8.041 3.493
N 8.800 2.158 3.456
N 8.866 6.475 0.328
```

***

2.
A plane-wave DFT calculation with PBE-GGA was carried out for an optimized crystal structure of LiPbN.

Results
As for the space group: Pnma, No. 62. Its offset from the most stable computed form is 0 meV per atom.

extended XYZ file:
```
12
Lattice="11.367 0.000 0.000 0.000 3.363 0.000 0.000 0.000 5.571" Properties=species:S:1:pos:R:3 pbc="T T T"
Li 0.795 0.841 0.175
Li 4.889 2.523 2.961
Li 6.479 0.841 2.610
Li 10.572 2.523 5.395
Pb 1.484 0.841 2.785
Pb 4.199 2.523 5.570
Pb 7.168 0.841 0.000
Pb 9.883 2.523 2.786
N 0.496 2.523 1.427
N 5.188 0.841 4.212
N 6.180 2.523 1.359
N 10.871 0.841 4.144
```

***

3.
A plane-wave DFT calculation with PBE-GGA was carried out for an optimized crystal structure of Li2PbN2.

Results
As for the space group: P-3m1, No. 164.

extended XYZ file:
```
5
Lattice="3.443 0.000 0.000 -1.722 2.982 0.000 0.000 0.000 5.608" Properties=species:S:1:pos:R:3 pbc="T T T"
Li 0.000 1.988 0.675
Li 1.722 0.994 4.932
Pb 0.000 0.000 2.804
N 0.000 1.988 4.152
N 1.722 0.994 1.456
```

***

4.
A plane-wave DFT calculation with PBE-GGA was carried out for an optimized crystal structure of LiPbN.

Results
As for the space group: P-6m2, No. 187. Its offset from the most stable computed form is 238 meV per atom.

extended XYZ file:
```
3
Lattice="3.711 0.000 0.000 -1.855 3.214 0.000 0.000 0.000 4.481" Properties=species:S:1:pos:R:3 pbc="T T T"
Li 0.000 0.000 0.000
Pb 1.855 1.071 2.240
N 1.855 1.071 0.000
```

***

Number 1: ΔH_f (0 K) -0.903 eV/atom. Number 2: ΔH_f (0 K) -0.043 eV/atom. Number 3: ΔH_f (0 K) -0.022 eV/atom. Number 4: ΔH_f (0 K) 0.195 eV/atom.